(1)
Ta2SiNi3: relaxed, PBE.

```
data_Ta2SiNi3
_chemical_formula_sum 'Ta4 Si2 Ni6'
_cell_length_a 4.853
_cell_length_b 4.853
_cell_length_c 7.669
_cell_angle_alpha 90.00
_cell_angle_beta 90.00
_cell_angle_gamma 120.00
_symmetry_space_group_name_H-M 'P 1'
_symmetry_Int_Tables_number 1
_symmetry_space_group_name_Hall 'P 1'
loop_
_atom_site_label
_atom_site_type_symbol
_atom_site_fract_x
_atom_site_fract_y
_atom_site_fract_z
Ta1 Ta 0.667 0.333 0.058
Ta2 Ta 0.667 0.333 0.442
Ta3 Ta 0.333 0.667 0.942
Ta4 Ta 0.333 0.667 0.558
Ni1 Ni 0.168 0.832 0.250
Ni2 Ni 0.832 0.663 0.750
Ni3 Ni 0.168 0.337 0.250
Ni4 Ni 0.832 0.168 0.750
Ni5 Ni 0.663 0.832 0.250
Ni6 Ni 0.337 0.168 0.750
Si1 Si 0.000 0.000 0.500
Si2 Si 0.000 0.000 0.000
```

Computed properties:
Energy of formation   -0.467 eV per atom

***

(2)
Mg14ZnSb: relaxed, PBE.

```
data_Mg14ZnSb
_chemical_formula_sum 'Mg14 Zn1 Sb1'
_cell_length_a 6.311
_cell_length_b 6.472
_cell_length_c 10.287
_cell_angle_alpha 90.00
_cell_angle_beta 90.00
_cell_angle_gamma 120.85
_symmetry_space_group_name_H-M 'P 1'
_symmetry_Int_Tables_number 1
_symmetry_space_group_name_Hall 'P 1'
loop_
_atom_site_label
_atom_site_type_symbol
_atom_site_fract_x
_atom_site_fract_y
_atom_site_fract_z
Mg1 Mg 0.669 0.835 0.125
Mg2 Mg 0.332 0.170 0.373
Mg3 Mg 0.836 0.168 0.373
Mg4 Mg 0.169 0.334 0.625
Mg5 Mg 0.666 0.833 0.625
Mg6 Mg 0.832 0.666 0.377
Mg7 Mg 0.332 0.170 0.877
Mg8 Mg 0.836 0.168 0.877
Mg9 Mg 0.168 0.834 0.625
Mg10 Mg 0.332 0.662 0.373
Mg11 Mg 0.832 0.666 0.873
Mg12 Mg 0.666 0.334 0.625
Mg13 Mg 0.332 0.662 0.877
Mg14 Mg 0.669 0.334 0.125
Sb1 Sb 0.167 0.833 0.125
Zn1 Zn 0.164 0.332 0.125
```

Computed properties:
Offset from the most stable computed form   20 kJ/mol of formula units
Energy of formation   -0.032 eV per atom

***

(3)
Sr2Mg: relaxed, PBE.

```
data_Sr2Mg
_chemical_formula_sum 'Sr4 Mg2'
_cell_length_a 10.070
_cell_length_b 10.070
_cell_length_c 6.456
_cell_angle_alpha 90.00
_cell_angle_beta 90.00
_cell_angle_gamma 156.06
_symmetry_space_group_name_H-M 'P 1'
_symmetry_Int_Tables_number 1
_symmetry_space_group_name_Hall 'P 1'
loop_
_atom_site_label
_atom_site_type_symbol
_atom_site_fract_x
_atom_site_fract_y
_atom_site_fract_z
Sr1 Sr 0.632 0.368 0.250
Sr2 Sr 0.932 0.068 0.250
Sr3 Sr 0.068 0.932 0.750
Sr4 Sr 0.368 0.632 0.750
Mg1 Mg 0.722 0.278 0.750
Mg2 Mg 0.278 0.722 0.250
```

Computed properties:
Energy of formation   0.108 eV per atom

***

(4)
ZnTe2O7: relaxed, PBE.

```
data_ZnTe2O7
_chemical_formula_sum 'Zn2 Te4 O14'
_cell_length_a 7.820
_cell_length_b 6.471
_cell_length_c 8.207
_cell_angle_alpha 118.62
_cell_angle_beta 90.00
_cell_angle_gamma 90.00
_symmetry_space_group_name_H-M 'P 1'
_symmetry_Int_Tables_number 1
_symmetry_space_group_name_Hall 'P 1'
loop_
_atom_site_label
_atom_site_type_symbol
_atom_site_fract_x
_atom_site_fract_y
_atom_site_fract_z
O1 O 0.438 0.102 0.262
O2 O 0.761 0.315 0.015
O3 O 0.099 0.399 0.209
O4 O 0.439 0.640 0.278
O5 O 0.261 0.685 0.985
O6 O 0.120 0.968 0.400
O7 O 0.620 0.032 0.600
O8 O 0.261 0.548 0.597
O9 O 0.388 0.051 0.881
O10 O 0.761 0.452 0.403
O11 O 0.938 0.898 0.738
O12 O 0.599 0.601 0.791
O13 O 0.939 0.360 0.722
O14 O 0.888 0.949 0.119
Te1 Te 0.889 0.261 0.197
Te2 Te 0.389 0.739 0.803
Te3 Te 0.806 0.140 0.745
Te4 Te 0.306 0.860 0.255
Zn1 Zn 0.324 0.404 0.328
Zn2 Zn 0.824 0.596 0.672
```

Computed properties:
Energy of formation   -1.219 eV per atom

***

(5)
Mn3AlC: relaxed, PBE.

```
data_Mn3AlC
_chemical_formula_sum 'Mn3 Al1 C1'
_cell_length_a 3.807
_cell_length_b 3.807
_cell_length_c 3.807
_cell_angle_alpha 90.00
_cell_angle_beta 90.00
_cell_angle_gamma 90.00
_symmetry_space_group_name_H-M 'P 1'
_symmetry_Int_Tables_number 1
_symmetry_space_group_name_Hall 'P 1'
loop_
_atom_site_label
_atom_site_type_symbol
_atom_site_fract_x
_atom_site_fract_y
_atom_site_fract_z
C1 C 0.500 0.500 0.500
Mn1 Mn 0.500 0.500 0.000
Mn2 Mn 0.000 0.500 0.500
Mn3 Mn 0.500 0.000 0.500
Al1 Al 0.000 0.000 0.000
```

Computed properties:
Energy of formation   -0.192 eV per atom

***

(6)
Er6Mn23: relaxed, PBE.

```
data_Er6Mn23
_chemical_formula_sum 'Er6 Mn23'
_cell_length_a 8.456
_cell_length_b 8.456
_cell_length_c 8.456
_cell_angle_alpha 60.00
_cell_angle_beta 60.00
_cell_angle_gamma 60.00
_symmetry_space_group_name_H-M 'P 1'
_symmetry_Int_Tables_number 1
_symmetry_space_group_name_Hall 'P 1'
loop_
_atom_site_label
_atom_site_type_symbol
_atom_site_fract_x
_atom_site_fract_y
_atom_site_fract_z
Er1 Er 0.795 0.205 0.205
Er2 Er 0.795 0.795 0.205
Er3 Er 0.205 0.795 0.795
Er4 Er 0.795 0.205 0.795
Er5 Er 0.205 0.205 0.795
Er6 Er 0.205 0.795 0.205
Mn1 Mn 0.823 0.531 0.823
Mn2 Mn 0.000 0.500 0.000
Mn3 Mn 0.177 0.177 0.469
Mn4 Mn 0.000 0.500 0.500
Mn5 Mn 0.000 0.000 0.500
Mn6 Mn 0.378 0.378 0.865
Mn7 Mn 0.823 0.823 0.531
Mn8 Mn 0.500 0.500 0.500
Mn9 Mn 0.531 0.823 0.823
Mn10 Mn 0.500 0.000 0.500
Mn11 Mn 0.823 0.823 0.823
Mn12 Mn 0.622 0.622 0.135
Mn13 Mn 0.622 0.135 0.622
Mn14 Mn 0.500 0.000 0.000
Mn15 Mn 0.177 0.469 0.177
Mn16 Mn 0.378 0.865 0.378
Mn17 Mn 0.500 0.500 0.000
Mn18 Mn 0.865 0.378 0.378
Mn19 Mn 0.135 0.622 0.622
Mn20 Mn 0.622 0.622 0.622
Mn21 Mn 0.469 0.177 0.177
Mn22 Mn 0.378 0.378 0.378
Mn23 Mn 0.177 0.177 0.177
```

Computed properties:
Energy of formation   0.062 eV per atom

***

(7)
LiBiP2O7: relaxed, PBE.

```
data_LiBiP2O7
_chemical_formula_sum 'Li4 Bi4 P8 O28'
_cell_length_a 8.408
_cell_length_b 5.247
_cell_length_c 13.440
_cell_angle_alpha 67.13
_cell_angle_beta 90.00
_cell_angle_gamma 90.00
_symmetry_space_group_name_H-M 'P 1'
_symmetry_Int_Tables_number 1
_symmetry_space_group_name_Hall 'P 1'
loop_
_atom_site_label
_atom_site_type_symbol
_atom_site_fract_x
_atom_site_fract_y
_atom_site_fract_z
O1 O 0.109 0.298 0.233
O2 O 0.826 0.643 0.460
O3 O 0.901 0.321 0.956
O4 O 0.651 0.526 0.658
O5 O 0.099 0.679 0.044
O6 O 0.174 0.357 0.540
O7 O 0.326 0.357 0.040
O8 O 0.119 0.756 0.599
O9 O 0.401 0.679 0.544
O10 O 0.060 0.802 0.207
O11 O 0.674 0.643 0.960
O12 O 0.849 0.526 0.158
O13 O 0.381 0.756 0.099
O14 O 0.349 0.474 0.342
O15 O 0.808 0.131 0.596
O16 O 0.692 0.131 0.096
O17 O 0.308 0.869 0.904
O18 O 0.391 0.298 0.733
O19 O 0.891 0.702 0.767
O20 O 0.151 0.474 0.842
O21 O 0.940 0.198 0.793
O22 O 0.609 0.702 0.267
O23 O 0.560 0.198 0.293
O24 O 0.192 0.869 0.404
O25 O 0.440 0.802 0.707
O26 O 0.619 0.244 0.901
O27 O 0.599 0.321 0.456
O28 O 0.881 0.244 0.401
P1 P 0.973 0.429 0.836
P2 P 0.210 0.659 0.520
P3 P 0.527 0.429 0.336
P4 P 0.473 0.571 0.664
P5 P 0.290 0.659 0.020
P6 P 0.790 0.341 0.480
P7 P 0.027 0.571 0.164
P8 P 0.710 0.341 0.980
Li1 Li 0.640 0.746 0.099
Li2 Li 0.860 0.746 0.599
Li3 Li 0.140 0.254 0.401
Li4 Li 0.360 0.254 0.901
Bi1 Bi 0.697 0.033 0.776
Bi2 Bi 0.803 0.033 0.276
Bi3 Bi 0.197 0.967 0.724
Bi4 Bi 0.303 0.967 0.224
```

Computed properties:
Offset from the most stable computed form   0 kJ/mol of formula units
Energy of formation   -2.536 eV per atom

***

(8)
NiSb2: relaxed, PBE.

```
data_NiSb2
_chemical_formula_sum 'Ni2 Sb4'
_cell_length_a 3.803
_cell_length_b 5.351
_cell_length_c 6.314
_cell_angle_alpha 90.00
_cell_angle_beta 90.00
_cell_angle_gamma 90.00
_symmetry_space_group_name_H-M 'P 1'
_symmetry_Int_Tables_number 1
_symmetry_space_group_name_Hall 'P 1'
loop_
_atom_site_label
_atom_site_type_symbol
_atom_site_fract_x
_atom_site_fract_y
_atom_site_fract_z
Ni1 Ni 0.000 0.000 0.000
Ni2 Ni 0.500 0.500 0.500
Sb1 Sb 0.500 0.284 0.860
Sb2 Sb 0.000 0.784 0.640
Sb3 Sb 0.500 0.716 0.140
Sb4 Sb 0.000 0.216 0.360
```

Computed properties:
Energy of formation   -0.325 eV per atom